Entry 1:
CsMnInTe3: optimized geometry, PBE.

Values from the calculation:
Crystal system: monoclinic
E_form: -0.76 eV per atom
Corrected total energy (MP2020 scheme): -4.464 eV per atom

Cell and atoms, written as extended XYZ:
```
48
Lattice="6.391 -6.392 0.000 6.391 6.392 0.000 -3.202 0.000 24.217" Properties=species:S:1:pos:R:3 pbc="T T T"
Cs 2.394 3.995 22.318
Cs 5.586 3.995 14.008
Cs 2.397 0.800 14.008
Cs 3.997 -0.800 1.900
Cs 5.583 0.800 22.318
Cs 7.184 -0.800 10.209
Cs 3.994 -3.995 10.209
Cs 7.187 -3.995 1.900
Mn 0.773 2.396 18.164
Mn 3.990 5.618 18.163
Mn 2.373 -2.396 6.055
Mn 5.591 0.820 6.054
Mn 3.990 -0.820 18.163
Mn 7.207 2.396 18.162
Mn 5.591 -5.618 6.054
Mn 8.808 -2.396 6.053
In 5.592 3.992 3.009
In 2.392 0.799 9.105
In 5.590 3.992 9.100
In 0.792 -0.799 21.214
In 8.789 0.799 3.003
In 3.991 -3.992 15.118
In 7.188 -0.799 15.112
In 3.989 -3.992 21.208
Te 2.491 3.898 16.615
Te -0.697 0.693 16.593
Te -0.806 0.798 22.938
Te 0.904 -0.693 4.485
Te 3.889 2.294 4.491
Te 0.795 -0.798 10.830
Te 3.992 2.394 10.830
Te 5.489 3.898 19.710
Te 2.494 0.901 19.717
Te 7.190 2.394 1.278
Te 4.095 -0.901 7.608
Te 7.292 2.294 7.617
Te 2.288 -2.294 16.600
Te 5.486 0.901 16.609
Te 2.391 -2.394 22.939
Te 7.087 -0.901 4.500
Te 4.092 -3.898 4.507
Te 5.589 -2.394 13.387
Te 8.785 0.798 13.387
Te 5.691 -2.294 19.726
Te 8.677 0.693 19.732
Te 10.386 -0.798 1.279
Te 10.278 -0.693 7.624
Te 7.090 -3.898 7.602
```


Entry 2:
Cs2Na3InO4: optimized geometry, PBE.

Values from the calculation:
Crystal system: monoclinic
E_form: -1.62 eV per atom
Corrected total energy (MP2020 scheme): -4.453 eV per atom

Cell and atoms, written as extended XYZ:
```
40
Lattice="6.446 0.000 0.000 0.000 10.360 0.000 -4.548 0.000 11.778" Properties=species:S:1:pos:R:3 pbc="T T T"
Cs 0.900 2.347 1.276
Cs -1.375 2.833 7.165
Cs -2.478 0.024 10.191
Cs -0.204 5.156 4.302
Cs 2.102 5.203 7.476
Cs 4.376 10.336 1.587
Cs 3.272 7.527 4.613
Cs 0.998 8.013 10.502
Na -0.207 7.718 2.371
Na -2.482 7.822 8.260
Na -1.072 0.118 5.087
Na -3.346 5.062 10.976
Na -0.961 5.485 9.367
Na 1.314 10.054 3.478
Na 0.584 0.306 8.300
Na 2.858 4.874 2.411
Na 5.243 5.298 0.802
Na 2.969 10.242 6.691
Na 4.379 2.538 3.518
Na 2.105 2.642 9.407
In 2.269 7.416 0.755
In -0.005 8.123 6.644
In 1.903 2.237 5.134
In -0.371 2.943 11.023
O 0.975 5.857 1.450
O -1.299 9.683 7.339
O 0.089 1.884 4.130
O -2.185 3.296 10.019
O -2.237 7.149 10.445
O 0.037 8.391 4.556
O -0.920 6.292 7.164
O 1.354 9.248 1.275
O 0.544 1.112 10.503
O 2.818 4.068 4.614
O 1.861 1.969 7.222
O 4.135 3.211 1.333
O 4.083 7.064 1.759
O 1.809 8.476 7.648
O 3.197 0.677 4.439
O 0.922 4.503 10.328
```